DFT (PBE) results for crystalline Mg14CrCu at its relaxed geometry.

The structure in POSCAR format:
```
Mg14CrCu
1.0
-0.1934 -0.6606 -6.2366
4.1135 -3.3198 3.3803
-6.6841 -7.2854 0.9789
Mg Cr Cu
14 1 1
Cartesian
2.5576 -3.7840 1.9062 Mg
-0.7778 -7.4350 2.3795 Mg
0.4123 -2.4627 -2.9082 Mg
-2.9441 -6.0924 -2.4197 Mg
2.4605 -4.1157 -1.2251 Mg
-0.8739 -7.7631 -0.7185 Mg
-1.8385 -3.4973 -1.0954 Mg
-5.2241 -7.1875 -0.5996 Mg
0.1463 -5.0990 0.5356 Mg
-3.2394 -8.7893 1.0314 Mg
-1.9385 -3.8391 -4.3229 Mg
-5.3242 -7.5294 -3.8270 Mg
0.0749 -5.4954 -2.5765 Mg
-3.2677 -9.1387 -2.0870 Mg
-2.8386 -5.7701 0.6992 Cr
0.5034 -2.1274 0.2097 Cu
```

Calculated values
Energy of formation from the pure elements   0.088 eV/atom



DFT (PBE) results for crystalline MgCrCu3Se4 at its relaxed geometry.

The structure in POSCAR format:
```
MgCrCu3Se4
1.0
5.7722 0.0000 0.0000
0.0000 5.7722 0.0000
0.0000 0.0000 5.7722
Mg Cr Cu Se
1 1 3 4
Cartesian
2.8861 2.8861 2.8861 Mg
0.0000 0.0000 0.0000 Cr
0.0000 2.8861 0.0000 Cu
0.0000 0.0000 2.8861 Cu
2.8861 0.0000 0.0000 Cu
1.3978 1.3978 1.3978 Se
4.3744 4.3744 1.3978 Se
1.3978 4.3744 4.3744 Se
4.3744 1.3978 4.3744 Se
```

Calculated values
Energy of formation from the pure elements   -0.567 eV/atom



DFT (PBE) results for crystalline MnCr8Cu3S16 at its relaxed geometry.

The structure in POSCAR format:
```
MnCr8Cu3S16
1.0
7.0084 0.0000 0.0000
0.0000 7.0084 0.0000
0.0000 0.0000 9.9113
Mn Cr Cu S
1 8 3 16
Cartesian
3.5042 3.5042 4.9557 Mn
5.2995 0.0000 6.1984 Cr
1.7525 3.5042 1.2020 Cr
1.7089 0.0000 6.1984 Cr
5.2559 3.5042 1.2020 Cr
0.0000 1.7089 3.7129 Cr
3.5042 5.2559 8.7093 Cr
3.5042 1.7525 8.7093 Cr
0.0000 5.2995 3.7129 Cr
0.0000 0.0000 0.0000 Cu
3.5042 0.0000 2.4755 Cu
0.0000 3.5042 7.4358 Cu
5.3891 3.5042 3.6178 S
1.8649 0.0000 8.5900 S
1.6193 3.5042 3.6178 S
5.1435 0.0000 8.5900 S
3.5042 1.6193 6.2935 S
0.0000 5.1435 1.3213 S
3.5042 5.3891 6.2935 S
0.0000 1.8649 1.3213 S
1.6403 0.0000 3.7960 S
5.1470 3.5042 8.7547 S
5.3681 0.0000 3.7960 S
1.8614 3.5042 8.7547 S
3.5042 1.8614 1.1566 S
0.0000 5.3681 6.1153 S
3.5042 5.1470 1.1566 S
0.0000 1.6403 6.1153 S
```

Calculated values
E above lowest polymorph   326.7 meV/atom
Energy of formation from the pure elements   -0.613 eV/atom



DFT (PBE) results for crystalline MnCr8Cu3S16 at its relaxed geometry.

The structure in POSCAR format:
```
MnCr8Cu3S16
1.0
11.6059 -3.5118 0.0000
11.6059 3.5118 0.0000
10.5432 0.0000 5.9891
Mn Cr Cu S
1 8 3 16
Cartesian
2.1095 0.0000 0.3743 Mn
25.3770 0.0000 4.5026 Cr
8.4254 0.0000 1.4949 Cr
11.0420 1.7317 2.9745 Cr
27.9732 1.7378 5.9822 Cr
11.0420 -1.7317 2.9745 Cr
27.9732 -1.7378 5.9822 Cr
11.5660 0.0000 0.0213 Cr
28.4990 0.0000 3.0185 Cr
18.9838 0.0000 3.3682 Cu
14.7701 0.0000 2.6206 Cu
31.6468 0.0000 5.6150 Cu
4.3841 0.0000 0.7779 S
21.2414 0.0000 3.7688 S
23.6925 1.6185 5.1527 S
18.4237 -1.8701 2.1723 S
23.6925 -1.6185 5.1527 S
18.4237 1.8701 2.1723 S
24.1823 0.0000 2.3926 S
17.8578 0.0000 5.3616 S
12.5151 0.0000 2.2205 S
29.4032 0.0000 5.2169 S
15.3335 1.8681 3.8160 S
10.0513 -1.6431 0.8199 S
15.3335 -1.8681 3.8160 S
10.0513 1.6431 0.8199 S
15.8988 0.0000 0.6302 S
9.5541 0.0000 3.6221 S
```

Calculated values
E above lowest polymorph   0.0 meV/atom
Energy of formation from the pure elements   -0.939 eV/atom